No. 1
{"formula": "SrEu2Al2O7", "functional": "GGA-PBE", "state": "relaxed", "total_energy_ev_per_cell": -99.2, "formation_enthalpy_0k_ev_per_atom": -3.311, "lattice": [[-1.8816, 1.8816, 9.9635], [1.8816, -1.8816, 9.9635], [1.8816, 1.8816, -9.9635]], "species": ["Sr", "Eu", "Eu", "Al", "Al", "O", "O", "O", "O", "O", "O", "O"], "fractional_positions": [[0.5000, 0.5000, 0.0000], [0.3176, 0.3176, 0.0000], [0.6824, 0.6824, 0.0000], [0.9050, 0.9050, 0.0000], [0.0950, 0.0950, 0.0000], [0.0000, 0.0000, 0.0000], [0.3986, 0.8986, 0.5000], [0.8986, 0.3986, 0.5000], [0.7999, 0.7999, 0.0000], [0.2001, 0.2001, 0.0000], [0.1014, 0.6014, 0.5000], [0.6014, 0.1014, 0.5000]]}

---

No. 2
{"formula": "Mo2RuSe4", "functional": "GGA-PBE", "state": "relaxed", "total_energy_ev_per_cell": -97.3, "de_polymorph_mev_per_atom": 46, "formation_enthalpy_0k_ev_per_atom": -0.801, "lattice": [[-4.2403, -4.3678, -2.8817], [5.5020, -3.0525, -2.4451], [0.2109, -3.4811, 5.7926]], "species": ["Mo", "Mo", "Mo", "Mo", "Ru", "Ru", "Se", "Se", "Se", "Se", "Se", "Se", "Se", "Se"], "fractional_positions": [[0.7678, 0.5863, 0.4518], [0.4154, 0.5478, 0.2339], [0.5455, 0.2355, 0.4106], [0.2346, 0.4136, 0.5449], [0.5853, 0.4525, 0.7667], [0.4536, 0.7694, 0.5887], [0.7766, 0.7808, 0.7841], [0.2108, 0.2127, 0.2139], [0.8694, 0.2667, 0.6292], [0.2760, 0.6249, 0.8696], [0.6251, 0.8749, 0.2761], [0.1313, 0.7353, 0.3710], [0.7372, 0.3717, 0.1223], [0.3714, 0.1278, 0.7373]]}